# 1
Entry from Materials Project: an optimized crystal structure of Li2Zr2O5 (PBE).

Cell: 10.375 3.931 13.143 Å, 90.00 123.57 90.00°
Fractional coordinates of all 36 atoms:
Li  0.046  0.240  0.452
Li  0.046  0.260  0.952
Li  0.076  0.703  0.330
Li  0.076  0.797  0.830
Li  0.924  0.203  0.170
Li  0.924  0.297  0.670
Li  0.954  0.740  0.048
Li  0.954  0.760  0.548
Zr  0.331  0.139  0.364
Zr  0.331  0.361  0.864
Zr  0.331  0.685  0.145
Zr  0.331  0.815  0.645
Zr  0.669  0.185  0.355
Zr  0.669  0.315  0.855
Zr  0.669  0.639  0.136
Zr  0.669  0.861  0.636
O  0.115  0.748  0.011
O  0.115  0.752  0.511
O  0.124  0.201  0.339
O  0.124  0.299  0.839
O  0.291  0.660  0.291
O  0.291  0.840  0.791
O  0.386  0.176  0.214
O  0.386  0.324  0.714
O  0.414  0.634  0.032
O  0.414  0.866  0.532
O  0.586  0.134  0.468
O  0.586  0.366  0.968
O  0.614  0.676  0.286
O  0.614  0.824  0.786
O  0.709  0.160  0.209
O  0.709  0.340  0.709
O  0.876  0.701  0.161
O  0.876  0.799  0.661
O  0.885  0.248  0.489
O  0.885  0.252  0.989

Energy above the most stable polymorph in this dataset ... 0 meV/atom
ΔE_f ... -29.0 eV/f.u.
Space group ... No. 14

***

# 2
Entry from Materials Project: an optimized crystal structure of LiPr2Os (PBE).

Cell: 5.091 5.091 5.091 Å, 60.00 60.00 60.00°
Fractional coordinates of all 4 atoms:
Li  0.000  0.000  0.000
Pr  0.250  0.250  0.250
Pr  0.750  0.750  0.750
Os  0.500  0.500  0.500

ΔE_f ... -0.2 eV/f.u.
Space group ... No. 225

***

# 3
Entry from Materials Project: an optimized crystal structure of LiSc2Os (PBE).

Cell: 4.624 4.624 4.624 Å, 60.00 60.00 60.00°
Fractional coordinates of all 4 atoms:
Li  0.000  0.000  0.000
Sc  0.250  0.250  0.250
Sc  0.750  0.750  0.750
Os  0.500  0.500  0.500

ΔE_f ... -1.3 eV/f.u.
Space group ... No. 225

***

# 4
Entry from Materials Project: an optimized crystal structure of LiP7 (PBE).

Cell: 12.161 12.161 12.161 Å, 111.83 111.83 104.84°
Fractional coordinates of all 64 atoms:
Li  0.006  0.756  0.512
Li  0.244  0.256  0.250
Li  0.256  0.506  0.012
Li  0.494  0.006  0.750
Li  0.506  0.994  0.250
Li  0.744  0.494  0.988
Li  0.756  0.744  0.750
Li  0.994  0.244  0.488
P  0.001  0.498  0.656
P  0.002  0.499  0.844
P  0.010  0.786  0.867
P  0.081  0.714  0.724
P  0.085  0.089  0.877
P  0.089  0.712  0.004
P  0.143  0.010  0.724
P  0.154  0.158  0.656
P  0.158  0.002  0.003
P  0.208  0.085  0.496
P  0.210  0.250  0.460
P  0.212  0.589  0.504
P  0.214  0.581  0.224
P  0.250  0.290  0.040
P  0.250  0.790  0.540
P  0.286  0.510  0.367
P  0.288  0.792  0.377
P  0.290  0.750  0.040
P  0.292  0.788  0.877
P  0.342  0.346  0.844
P  0.346  0.001  0.003
P  0.357  0.081  0.867
P  0.411  0.415  0.623
P  0.415  0.292  0.004
P  0.419  0.143  0.633
P  0.490  0.357  0.776
P  0.498  0.342  0.497
P  0.499  0.154  0.497
P  0.501  0.846  0.503
P  0.502  0.658  0.503
P  0.510  0.643  0.224
P  0.581  0.857  0.367
P  0.585  0.708  0.996
P  0.589  0.585  0.377
P  0.643  0.919  0.133
P  0.654  0.999  0.997
P  0.658  0.654  0.156
P  0.708  0.212  0.123
P  0.710  0.250  0.960
P  0.712  0.208  0.623
P  0.714  0.490  0.633
P  0.750  0.210  0.460
P  0.750  0.710  0.960
P  0.786  0.419  0.776
P  0.788  0.411  0.496
P  0.790  0.750  0.540
P  0.792  0.915  0.504
P  0.842  0.998  0.997
P  0.846  0.842  0.344
P  0.857  0.990  0.276
P  0.911  0.288  0.996
P  0.915  0.911  0.123
P  0.919  0.286  0.276
P  0.990  0.214  0.133
P  0.998  0.501  0.156
P  0.999  0.502  0.344

ΔE_f ... -1.2 eV/f.u.
Space group ... No. 142

***

# 5
Entry from Materials Project: an optimized crystal structure of Li3P (PBE).

Cell: 4.236 4.236 7.571 Å, 90.00 90.00 120.00°
Fractional coordinates of all 8 atoms:
Li  0.000  0.000  0.250
Li  0.000  0.000  0.750
Li  0.333  0.667  0.084
Li  0.333  0.667  0.416
Li  0.667  0.333  0.584
Li  0.667  0.333  0.916
P  0.333  0.667  0.750
P  0.667  0.333  0.250

ΔE_f ... -2.8 eV/f.u.
Space group ... No. 194

***

# 6
Entry from Materials Project: an optimized crystal structure of LiP (PBE).

Cell: 5.594 4.970 10.251 Å, 90.00 118.16 90.00°
Fractional coordinates of all 16 atoms:
Li  0.217  0.112  0.329
Li  0.217  0.388  0.829
Li  0.226  0.658  0.530
Li  0.226  0.842  0.030
Li  0.774  0.158  0.970
Li  0.774  0.342  0.470
Li  0.783  0.612  0.171
Li  0.783  0.888  0.671
P  0.303  0.156  0.612
P  0.303  0.344  0.112
P  0.317  0.605  0.293
P  0.317  0.895  0.793
P  0.683  0.105  0.207
P  0.683  0.395  0.707
P  0.697  0.656  0.888
P  0.697  0.844  0.388

ΔE_f ... -1.0 eV/f.u.
Space group ... No. 14

***

# 7
Entry from Materials Project: an optimized crystal structure of Li3P7 (PBE).

Cell: 7.629 9.848 10.597 Å, 90.00 90.00 90.00°
Fractional coordinates of all 40 atoms:
Li  0.069  0.026  0.015
Li  0.098  0.801  0.808
Li  0.149  0.692  0.316
Li  0.351  0.308  0.816
Li  0.402  0.199  0.308
Li  0.431  0.974  0.515
Li  0.569  0.474  0.985
Li  0.598  0.699  0.192
Li  0.649  0.808  0.684
Li  0.851  0.192  0.184
Li  0.902  0.301  0.692
Li  0.931  0.526  0.485
P  0.034  0.929  0.234
P  0.034  0.944  0.565
P  0.094  0.635  0.006
P  0.129  0.282  0.005
P  0.138  0.049  0.387
P  0.184  0.427  0.619
P  0.219  0.375  0.181
P  0.281  0.625  0.681
P  0.316  0.573  0.119
P  0.362  0.951  0.887
P  0.371  0.718  0.505
P  0.406  0.365  0.506
P  0.466  0.056  0.065
P  0.466  0.071  0.734
P  0.534  0.556  0.435
P  0.534  0.571  0.766
P  0.594  0.865  0.994
P  0.629  0.218  0.995
P  0.638  0.451  0.613
P  0.684  0.073  0.381
P  0.719  0.125  0.819
P  0.781  0.875  0.319
P  0.816  0.927  0.881
P  0.862  0.549  0.113
P  0.871  0.782  0.495
P  0.906  0.135  0.494
P  0.966  0.429  0.266
P  0.966  0.444  0.935

ΔE_f ... -3.6 eV/f.u.
Piezoelectric modulus e_max ... 0.127 C/m2
Space group ... No. 19

***

# 8
Entry from Materials Project: an optimized crystal structure of Li2PrP2 (PBE).

Cell: 4.201 4.201 6.850 Å, 90.00 90.00 120.00°
Fractional coordinates of all 5 atoms:
Li  0.333  0.667  0.376
Li  0.667  0.333  0.624
Pr  0.000  0.000  0.000
P  0.333  0.667  0.755
P  0.667  0.333  0.245

ΔE_f ... -4.2 eV/f.u.
Space group ... No. 164

***

The highest ΔE_f belongs to which entry?
LiPr2Os